VASP calculation (PBE) on an optimized crystal structure of Ba2MgTi3Tl2O10.

DFT formation energy ... -2800 meV/atom
Theoretical density ... 6.061 g/cm³
SG ... P1 (1)

extended XYZ file:
```
18
Lattice="3.989 0.000 0.000 0.001 4.133 0.000 1.484 1.976 16.806" Properties=species:S:1:pos:R:3 pbc="T T T"
Ba 0.000 0.000 0.000
Ba 2.157 1.778 8.268
Mg 3.490 3.933 14.748
Ti 1.987 2.197 1.913
Ti 3.919 1.605 4.128
Ti 4.269 3.825 6.348
Tl 2.414 1.812 12.841
Tl 4.070 3.871 10.855
O 1.471 3.856 14.446
O 1.410 1.815 10.851
O 2.052 3.859 6.436
O 2.017 1.847 3.825
O 1.995 3.961 1.744
O 3.481 3.933 16.724
O 4.061 3.880 8.253
O 4.082 1.819 6.082
O 3.992 3.963 4.357
O 3.995 1.931 2.100
```